A.
# Na5FeO4 (PBE with a Hubbard U, relaxed)
data_Na5FeO4
_chemical_formula_sum 'Na40 Fe8 O32'
_space_group_name_H-M_alt 'P b c a'
_space_group_IT_number 61
_space_group_name_Hall '-P 2ac 2ab'
_cell_length_a 6.0252
_cell_length_b 18.1523
_cell_length_c 10.4864
_cell_angle_alpha 90.00
_cell_angle_beta 90.00
_cell_angle_gamma 90.00
loop_
_atom_site_label
_atom_site_type_symbol
_atom_site_fract_x
_atom_site_fract_y
_atom_site_fract_z
Na1 Na 0.0719 0.1402 0.2006
Na2 Na 0.0794 0.0656 0.9398
Na3 Na 0.0893 0.5016 0.1618
Na4 Na 0.1023 0.6711 0.8269
Na5 Na 0.1018 0.7477 0.5777
Fe1 Fe 0.1718 0.1234 0.4596
O1 O 0.1423 0.6212 0.0492
O2 O 0.1976 0.5446 0.3672
O3 O 0.2366 0.7120 0.3732
O4 O 0.2378 0.6254 0.6357
# Total magnetic moment, μB per cell: 40.000
# Mass density, g cm⁻³: 2.72

---

B.
# Na5FeO4 (PBE with a Hubbard U, relaxed)
data_Na5FeO4
_chemical_formula_sum 'Na40 Fe8 O32'
_space_group_name_H-M_alt 'P b c a'
_space_group_IT_number 61
_space_group_name_Hall '-P 2ac 2ab'
_cell_length_a 10.3510
_cell_length_b 10.7272
_cell_length_c 10.6059
_cell_angle_alpha 90.00
_cell_angle_beta 90.00
_cell_angle_gamma 90.00
loop_
_atom_site_label
_atom_site_type_symbol
_atom_site_fract_x
_atom_site_fract_y
_atom_site_fract_z
Na1 Na 0.0894 0.1462 0.1230
Na2 Na 0.0997 0.6607 0.8792
Na3 Na 0.1349 0.6181 0.1533
Na4 Na 0.1478 0.1033 0.3856
Na5 Na 0.1645 0.6132 0.6074
Fe1 Fe 0.1162 0.1275 0.8545
O1 O 0.0023 0.0190 0.7603
O2 O 0.0059 0.2413 0.9492
O3 O 0.2249 0.2359 0.7548
O4 O 0.2305 0.0496 0.9774
# Mass density, g cm⁻³: 2.65

---

Which of them is least stable? Easy: A.

---

A.
# Na3FeO3 (PBE with a Hubbard U, relaxed)
data_Na3FeO3
_chemical_formula_sum 'Na24 Fe8 O24'
_space_group_name_H-M_alt 'C 1 c 1'
_space_group_IT_number 9
_space_group_name_Hall 'C -2yc'
_cell_length_a 13.4218
_cell_length_b 10.8146
_cell_length_c 6.2054
_cell_angle_alpha 90.00
_cell_angle_beta 116.74
_cell_angle_gamma 90.00
loop_
_atom_site_label
_atom_site_type_symbol
_atom_site_fract_x
_atom_site_fract_y
_atom_site_fract_z
Na1 Na 0.0000 0.0223 0.0000
Na2 Na 0.1027 0.2134 0.4627
Na3 Na 0.2340 0.4577 0.5208
Na4 Na 0.2446 0.0258 0.2410
Na5 Na 0.3442 0.2632 0.9523
Na6 Na 0.4828 0.0229 0.0820
Fe1 Fe 0.1156 0.2609 0.9347
Fe2 Fe 0.3694 0.2385 0.5110
O1 O 0.1254 0.0981 0.8353
O2 O 0.1608 0.3744 0.7634
O3 O 0.2142 0.2702 0.2773
O4 O 0.3693 0.1021 0.6960
O5 O 0.4188 0.3775 0.7129
O6 O 0.4609 0.1989 0.3518
# Mass density, g cm⁻³: 2.85

---

B.
# Na3FeO3 (PBE with a Hubbard U, relaxed)
data_Na3FeO3
_chemical_formula_sum 'Na12 Fe4 O12'
_space_group_name_H-M_alt 'P 1 21/c 1'
_space_group_IT_number 14
_space_group_name_Hall '-P 2ybc'
_cell_length_a 5.8155
_cell_length_b 12.7601
_cell_length_c 6.2852
_cell_angle_alpha 90.00
_cell_angle_beta 122.08
_cell_angle_gamma 90.00
loop_
_atom_site_label
_atom_site_type_symbol
_atom_site_fract_x
_atom_site_fract_y
_atom_site_fract_z
Na1 Na 0.0384 0.0153 0.2807
Na2 Na 0.0527 0.2226 0.6959
Na3 Na 0.4328 0.0965 0.1438
Fe1 Fe 0.4185 0.6639 0.7419
O1 O 0.0523 0.6266 0.5480
O2 O 0.3209 0.0624 0.6987
O3 O 0.4726 0.7282 0.0477
# Mass density, g cm⁻³: 2.90

---

Which of them is least stable? Easy: B.

---

A.
# Na7Fe2O8 (PBE with a Hubbard U, relaxed)
data_Na7Fe2O8
_chemical_formula_sum 'Na28 Fe8 O32'
_space_group_name_H-M_alt 'P -1'
_space_group_IT_number 2
_space_group_name_Hall '-P 1'
_cell_length_a 5.8012
_cell_length_b 9.2267
_cell_length_c 18.0408
_cell_angle_alpha 89.74
_cell_angle_beta 88.93
_cell_angle_gamma 89.78
loop_
_atom_site_label
_atom_site_type_symbol
_atom_site_fract_x
_atom_site_fract_y
_atom_site_fract_z
Na1 Na 0.0683 0.4584 0.3637
Na2 Na 0.0706 0.0416 0.8635
Na3 Na 0.1043 0.6588 0.1869
Na4 Na 0.1090 0.8381 0.6877
Na5 Na 0.2294 0.0526 0.5415
Na6 Na 0.2292 0.4469 0.0422
Na7 Na 0.2760 0.6982 0.8645
Na8 Na 0.2779 0.8022 0.3656
Na9 Na 0.3232 0.1014 0.0395
Na10 Na 0.3259 0.3994 0.5390
Na11 Na 0.3784 0.9989 0.2184
Na12 Na 0.3797 0.5028 0.7185
Na13 Na 0.4069 0.3405 0.8895
Na14 Na 0.4081 0.1612 0.3900
Fe1 Fe 0.2110 0.7814 0.0229
Fe2 Fe 0.2130 0.7191 0.5231
Fe3 Fe 0.2152 0.1710 0.7034
Fe4 Fe 0.2160 0.3270 0.2030
O1 O 0.0373 0.1828 0.4432
O2 O 0.0400 0.3159 0.9439
O3 O 0.0439 0.5876 0.7693
O4 O 0.0435 0.9153 0.2700
O5 O 0.1311 0.1835 0.1473
O6 O 0.1401 0.3166 0.6467
O7 O 0.2552 0.5876 0.4526
O8 O 0.2578 0.9140 0.9527
O9 O 0.2950 0.6331 0.6052
O10 O 0.2960 0.8648 0.1065
O11 O 0.3697 0.2543 0.7719
O12 O 0.3836 0.0259 0.6682
O13 O 0.3842 0.2465 0.2708
O14 O 0.3892 0.4733 0.1681
O15 O 0.4021 0.8519 0.4876
O16 O 0.4060 0.6466 0.9881
# Total magnetic moment, μB per cell: 27.999
# Mass density, g cm⁻³: 2.76

---

B.
# Na7Fe2O8 (PBE with a Hubbard U, relaxed)
data_Na7Fe2O8
_chemical_formula_sum 'Na28 Fe8 O32'
_space_group_name_H-M_alt 'P -1'
_space_group_IT_number 2
_space_group_name_Hall '-P 1'
_cell_length_a 5.8840
_cell_length_b 9.1475
_cell_length_c 18.0797
_cell_angle_alpha 89.76
_cell_angle_beta 89.12
_cell_angle_gamma 89.46
loop_
_atom_site_label
_atom_site_type_symbol
_atom_site_fract_x
_atom_site_fract_y
_atom_site_fract_z
Na1 Na 0.0644 0.4637 0.3627
Na2 Na 0.0685 0.0368 0.8620
Na3 Na 0.1044 0.6599 0.1853
Na4 Na 0.1124 0.8366 0.6868
Na5 Na 0.2322 0.0540 0.5418
Na6 Na 0.2318 0.4463 0.0415
Na7 Na 0.2778 0.6952 0.8641
Na8 Na 0.2798 0.8065 0.3646
Na9 Na 0.3302 0.1024 0.0405
Na10 Na 0.3332 0.3981 0.5405
Na11 Na 0.3782 0.9965 0.2196
Na12 Na 0.3788 0.5041 0.7202
Na13 Na 0.4074 0.1660 0.3895
Na14 Na 0.4066 0.3362 0.8895
Fe1 Fe 0.2063 0.7185 0.5224
Fe2 Fe 0.2066 0.7825 0.0227
Fe3 Fe 0.2148 0.1693 0.7029
Fe4 Fe 0.2181 0.3279 0.2028
O1 O 0.0431 0.1832 0.4450
O2 O 0.0426 0.3166 0.9460
O3 O 0.0444 0.5918 0.7677
O4 O 0.0467 0.9172 0.2704
O5 O 0.1232 0.1894 0.1443
O6 O 0.1340 0.3157 0.6446
O7 O 0.2581 0.5851 0.4519
O8 O 0.2618 0.9172 0.9529
O9 O 0.2889 0.8643 0.1077
O10 O 0.2927 0.6345 0.6063
O11 O 0.3765 0.2537 0.7722
O12 O 0.3883 0.0226 0.6674
O13 O 0.3937 0.4706 0.1664
O14 O 0.3975 0.2513 0.2698
O15 O 0.4074 0.8519 0.4893
O16 O 0.4079 0.6474 0.9897
# Total magnetic moment, μB per cell: 28.000
# Mass density, g cm⁻³: 2.73

---

Which of them is least stable? Easy: A.